The following is a DFT calculation (PBE-GGA) of a relaxed structure of B8PH24RhC7.

Computed properties:
formation enthalpy at 0 K	-0.149	eV per atom
total magnetic moment	0.2	μB/f.u.

Cell and atoms, written as extended XYZ:
```
164
Lattice="11.1592 0.0000 0.0000 3.2731 12.1452 0.0000 5.1857 4.0739 12.2519" Properties=species:S:1:pos:R:3 pbc="T T T"
B 3.1916 6.5974 4.0676
B 2.9275 3.9663 5.1104
B 6.2790 10.5532 9.4065
B 5.5668 10.4927 6.6531
B 7.0390 11.8272 8.4114
B 4.1526 5.1129 4.5181
B 3.9410 5.6524 2.8653
B 6.9326 10.1266 7.7975
B 5.1071 2.1646 3.4185
B 6.1902 2.3403 4.8152
B 5.5841 3.0769 2.0270
B 9.4948 12.9761 3.7649
B 11.8698 14.8714 9.3369
B 6.1716 1.4807 2.1017
B 11.7099 13.3170 8.4132
B 12.2884 13.3108 10.0999
B 7.3296 2.9083 2.1521
B 7.9081 2.9020 3.8388
B 13.4464 14.7384 10.1502
B 7.7482 1.3477 2.9151
B 10.1231 3.2430 8.4871
B 14.0339 13.1421 10.2250
B 13.4278 13.8787 7.4368
B 14.5109 14.0544 8.8335
B 12.6854 6.0924 4.4544
B 15.6770 10.5666 9.3867
B 15.4654 11.1061 7.7338
B 12.5790 4.3918 3.8406
B 14.0512 5.7264 5.5988
B 13.3390 5.6659 2.8454
B 16.6905 12.2527 7.1416
B 16.4264 9.6216 8.1844
P 1.8945 2.4785 1.4059
P 7.6488 6.0688 3.8079
P 11.9692 10.1503 8.4441
P 17.7235 13.7406 10.8461
H 4.2983 4.7377 8.9152
H 3.4969 7.7570 4.0637
H 6.4191 8.3666 12.2288
H 5.5077 6.2847 10.9955
H 3.1907 3.0156 5.7810
H 8.2391 15.4486 10.8308
H 6.7890 10.1228 10.4039
H 5.3162 10.0063 5.5912
H 5.4468 12.6026 3.7992
H 8.2760 14.4992 9.3413
H 8.3957 12.1993 10.9964
H 4.1261 8.6358 1.0460
H 4.2107 10.0627 0.0028
H 5.5684 11.6858 2.2789
H 8.0591 12.3862 8.6929
H 7.2021 4.8800 11.9278
H 3.8782 1.9484 3.6174
H 5.2926 5.0587 5.0803
H 7.7014 6.9713 10.6181
H 4.6878 6.0104 1.9977
H 7.5866 11.6757 6.0750
H 6.0662 7.7937 4.3485
H 7.8074 9.3222 7.6688
H 6.8684 7.0469 6.6314
H 3.5494 0.9507 0.5411
H 5.8122 2.4551 5.9450
H 6.9279 5.2748 6.7370
H 9.1956 7.2158 11.5459
H 7.2494 9.8685 3.5675
H 9.9895 9.9155 11.6813
H 6.3896 7.7211 2.6291
H 4.9104 3.6427 1.1908
H 7.7236 3.4267 9.7557
H 10.0122 11.0767 9.4719
H 8.1297 6.2579 7.5911
H 9.0363 5.8106 10.4731
H 9.8473 9.3421 9.2156
H 8.2656 9.0184 4.7327
H 11.6323 12.8776 11.0048
H 10.6625 12.8530 8.0640
H 9.1369 11.8673 4.0339
H 11.6001 10.6127 11.4278
H 8.2385 3.0966 6.9938
H 11.3333 8.8685 11.2050
H 8.6250 8.9196 2.9926
H 5.8833 0.7806 1.1713
H 10.4860 10.9709 6.7507
H 9.1397 7.0114 5.4341
H 10.4783 9.2077 6.8178
H 9.1320 5.2482 5.5012
H 13.7347 15.4384 11.0807
H 10.9930 7.2995 9.2593
H 8.2847 7.3505 1.0469
H 11.3795 13.1225 5.2582
H 8.0179 5.6064 0.8242
H 10.4811 4.3517 8.2180
H 8.9554 3.3660 4.1879
H 7.9857 3.3415 1.2472
H 11.3524 7.2007 7.5193
H 9.7707 6.8770 3.0363
H 10.5817 10.4084 1.7788
H 11.4883 9.9611 4.6608
H 9.6058 5.1423 2.7800
H 11.8944 12.7924 2.4962
H 14.7076 12.5763 11.0612
H 13.2283 8.4979 9.6228
H 9.6285 6.3036 0.5707
H 12.3686 6.3505 8.6845
H 10.4223 9.0033 0.7061
H 12.6901 10.9442 5.5150
H 13.8058 13.7639 6.3069
H 16.0686 15.2683 11.7109
H 12.7496 9.1721 5.6205
H 11.8106 6.8969 4.5831
H 13.5517 8.4253 7.9035
H 12.0314 4.5434 6.1770
H 14.9302 10.2086 10.2542
H 11.9166 9.2478 1.6338
H 14.3254 11.1604 7.1717
H 15.7398 14.2706 8.6346
H 12.4159 11.3391 0.3241
H 11.5589 3.8328 3.5590
H 14.0495 4.5332 9.9731
H 15.4073 6.1563 12.2492
H 15.4919 7.5833 11.2060
H 11.2223 4.0197 1.2556
H 11.3420 1.7199 2.9106
H 14.1712 3.6165 8.4527
H 14.3018 6.2128 6.6607
H 12.8289 6.0962 1.8481
H 11.3789 0.7704 1.4211
H 16.4273 13.2034 6.4709
H 14.1103 9.9343 1.2564
H 13.1989 7.8525 0.0232
H 16.1211 8.4620 8.1883
H 15.3197 11.4813 3.3368
Rh 3.3023 3.6675 2.9304
Rh 6.1632 4.2232 3.6389
Rh 13.4548 11.9959 8.6131
Rh 16.3157 12.5516 9.3215
C 7.6065 15.0296 10.0326
C 7.7959 12.7116 11.7598
C 4.8754 12.2181 2.9450
C 3.5180 9.3722 0.5025
C 6.8674 11.4375 6.8508
C 2.7473 1.5322 0.0665
C 8.4941 6.4556 11.1773
C 6.8803 7.7352 3.6126
C 7.5437 6.1818 6.6649
C 7.8153 8.9423 3.7341
C 10.8909 9.8630 11.0549
C 10.5333 10.1169 9.5916
C 8.4780 6.1311 5.4563
C 8.8447 2.5890 7.7407
C 10.7733 13.6300 4.5113
C 11.1400 10.0880 6.7957
C 9.0847 6.1022 2.6603
C 8.7271 6.3560 1.1970
C 11.8027 7.2768 8.5179
C 12.0743 10.0373 5.5870
C 12.7377 8.4839 8.6394
C 11.1239 9.7635 1.0746
C 16.8707 14.6869 12.1854
C 12.7505 4.7816 5.4011
C 16.1000 6.8468 11.7494
C 14.7426 4.0010 9.3070
C 11.8221 3.5074 0.4921
C 12.0115 1.1894 2.2193
```